Compound: Li6Ni3SbP6O24
Source: the Materials Project database
Functional: GGA+U
Structure: relaxed

Cell lengths 8.653, 8.715, 8.723 Å; angles 60.74, 60.64, 60.86 degrees
Fractional coordinates of all 40 atoms:
Li  0.000  0.000  0.000
Li  0.097  0.847  0.511
Li  0.197  0.330  0.472
Li  0.385  0.709  0.168
Li  0.662  0.536  0.799
Li  0.830  0.185  0.644
Ni  0.001  0.338  0.810
Ni  0.498  0.836  0.303
Ni  0.711  0.045  0.513
Sb  0.210  0.540  0.014
P  0.102  0.137  0.206
P  0.309  0.932  0.696
P  0.405  0.435  0.607
P  0.602  0.229  0.117
P  0.803  0.736  0.907
P  0.901  0.650  0.409
O  0.046  0.171  0.049
O  0.108  0.582  0.259
O  0.136  0.111  0.711
O  0.171  0.297  0.161
O  0.242  0.384  0.641
O  0.251  0.787  0.908
O  0.258  0.947  0.233
O  0.311  0.876  0.555
O  0.362  0.498  0.772
O  0.411  0.605  0.427
O  0.456  0.440  0.057
O  0.494  0.937  0.665
O  0.535  0.082  0.146
O  0.589  0.276  0.601
O  0.616  0.770  0.061
O  0.622  0.212  0.288
O  0.743  0.700  0.348
O  0.776  0.236  0.936
O  0.826  0.910  0.734
O  0.829  0.575  0.861
O  0.904  0.468  0.581
O  0.910  0.808  0.433
O  0.945  0.131  0.395
O  0.966  0.684  0.979

Energy = -6.3472 eV/atom
Energy of formation from the pure elements = -226.4 kJ per mole of atoms
Energy with MP2020 corrections = -6.95 eV/atom
Space-group type = P1